Compound: Li4FeF8
Source: Materials Project
Functional: PBE with a Hubbard U
Structure: relaxed

The value obtained for the energy with MP2020 corrections is -5.14 eV/atom. As for the energy of formation from the pure elements: -2.721 eV/atom. The calculation puts the total magnetization at 0.461 μB per atom.

The space group is Pnma (No. 62) and the conventional cell measures 9.627, 9.872 and 5.655 Å, with angles of 90.00, 90.00 and 90.00 degrees. The distinct sites, in fractional coordinates, are Li at (0.117, 0.076, 0.123), Li at (0.131, 0.055, 0.625), Fe at (0.109, 0.750, 0.365), F at (0.017, 0.617, 0.150), F at (0.017, 0.624, 0.597), F at (0.232, 0.250, 0.087), F at (0.234, 0.250, 0.646) and F at (0.244, 0.508, 0.372).